First-principles (PBE) data for SrLa11Mg3Ga9O34 after structural relaxation, as listed in the Materials Project database.

Properties
ΔE_f (eV per formula unit): -179.85
Symmetry: Cm (8)
Calculated total energy (eV per atom): -7.12

Lattice parameters (Å, degrees): 5.5993 5.5993 27.3534 89.95 89.95 59.79
Last column: nearest neighbours and their distance in Å.
Element x y z (fractional)
Sr1 0.3272 0.3272 0.7975  4 O 2.49-2.61
La1 0.6892 0.6892 0.9649  4 O 2.41-2.46
La2 0.0055 0.0055 0.6252  5 O 2.38-2.50
La3 0.9848 0.9848 0.8731  5 O 2.36-2.48
La4 0.6702 0.6702 0.4605  5 O 2.39-2.52
La5 0.6527 0.6527 0.7047  5 O 2.30-2.42
La6 0.3368 0.3368 0.2933  5 O 2.38-2.52
La7 0.3304 0.3304 0.5384  5 O 2.35-2.50
La8 0.0045 0.0045 0.1263  5 O 2.41-2.52
La9 0.9963 0.9963 0.3734  5 O 2.38-2.52
La10 0.6631 0.6631 0.2073  5 O 2.38-2.52
La11 0.3362 0.3362 0.0399  5 O 2.36-2.53
Mg1 0.3116 0.3116 0.9193  5 O 1.93-2.05
Mg2 0.6783 0.6783 0.8276  5 O 1.91-2.06
Mg3 0.3492 0.3492 0.6608  5 O 1.93-2.10
Ga1 0.0038 0.0038 0.9998  6 O 1.90-2.04
Ga2 0.0009 0.0009 0.5000  6 O 2.00-2.07
Ga3 0.9778 0.9778 0.7542  5 O 1.83-2.00
Ga4 0.6664 0.6664 0.5846  6 O 1.93-2.05
Ga5 0.3333 0.3333 0.4162  6 O 2.00-2.03
Ga6 0.0000 0.0000 0.2499  6 O 2.01-2.04
Ga7 0.6664 0.6664 0.3335  6 O 2.01-2.04
Ga8 0.6681 0.6681 0.0847  6 O 1.99-2.05
Ga9 0.3334 0.3334 0.1669  6 O 2.01-2.04
O1 0.0269 0.5439 0.8700  2 Mg 1.99-2.06
O2 0.1439 0.6380 0.9669  1 Ga 2.00, 1 Mg 2.05
O3 0.1276 0.1276 0.9458  1 Ga 1.90, 1 Mg 1.93
O4 0.7178 0.2002 0.7007  1 Ga 2.00, 1 Mg 2.10
O5 0.8096 0.2920 0.8004  1 Ga 1.98, 1 Mg 2.04
O6 0.5439 0.0269 0.8700  2 Mg 1.99-2.06
O7 0.6380 0.1439 0.9669  1 Ga 2.00, 1 Mg 2.05
O8 0.7957 0.7957 0.7717  1 Ga 1.83, 1 Mg 1.91
O9 0.3633 0.8692 0.5334  2 Ga 2.00-2.05
O10 0.4617 0.9661 0.6360  1 Mg 2.02, 1 Ga 2.04
O11 0.2002 0.7178 0.7007  1 Ga 2.00, 1 Mg 2.10
O12 0.2920 0.8096 0.8004  1 Ga 1.98, 1 Mg 2.04
O13 0.8573 0.8573 0.5561  2 Ga 2.01-2.07
O14 0.4773 0.4773 0.6068  1 Mg 1.93, 1 Ga 1.93
O15 0.0317 0.5319 0.3670  2 Ga 2.00-2.01
O16 0.1347 0.6376 0.4657  2 Ga 2.01-2.02
O17 0.8692 0.3633 0.5334  2 Ga 2.00-2.05
O18 0.9661 0.4617 0.6360  1 Mg 2.02, 1 Ga 2.04
O19 0.5282 0.5282 0.3891  2 Ga 2.03
O20 0.1398 0.1398 0.4440  2 Ga 2.03-2.04
O21 0.6992 0.1981 0.2002  2 Ga 2.01
O22 0.8016 0.3025 0.2994  2 Ga 2.01
O23 0.5319 0.0317 0.3670  2 Ga 2.00-2.01
O24 0.6376 0.1347 0.4657  2 Ga 2.01-2.02
O25 0.1950 0.1950 0.2224  2 Ga 2.03-2.04
O26 0.8058 0.8058 0.2778  2 Ga 2.03-2.04
O27 0.3695 0.8693 0.0349  2 Ga 2.01-2.03
O28 0.4696 0.9686 0.1334  2 Ga 1.99-2.01
O29 0.1981 0.6992 0.2002  2 Ga 2.01
O30 0.3025 0.8016 0.2994  2 Ga 2.01
O31 0.8611 0.8611 0.0545  2 Ga 2.04-2.05
O32 0.4728 0.4728 0.1113  2 Ga 2.03-2.04
O33 0.8693 0.3695 0.0349  2 Ga 2.01-2.03
O34 0.9686 0.4696 0.1334  2 Ga 1.99-2.01

---

First-principles (PBE) data for Sr2La14Mg4Ga12O43 after structural relaxation, as listed in the Materials Project database.

Properties
ΔE_f (eV per formula unit): -226.36
Symmetry: P1 (1)
Calculated total energy (eV per atom): -7.00

Lattice parameters (Å, degrees): 5.5641 5.5807 44.3424 60.70 60.87 60.40
Last column: nearest neighbours and their distance in Å.
Element x y z (fractional)
Sr1 0.2721 0.7598 0.0904  3 O 2.42-2.63
Sr2 0.2492 0.7259 0.2276  3 O 2.43-2.53
La1 0.7588 0.2725 0.0262  5 O 2.35-2.57
La2 0.7357 0.2864 0.1549  4 O 2.26-2.40
La3 0.2562 0.7445 0.3429  4 O 2.43-2.69
La4 0.7402 0.2417 0.2867  4 O 2.36-2.47
La5 0.2410 0.7512 0.4688  3 O 2.40-2.41
La6 0.7392 0.2608 0.4058  3 O 2.40-2.59
La7 0.2492 0.7482 0.5935  3 O 2.40-2.43
La8 0.7459 0.2534 0.5308  4 O 2.41-2.70
La9 0.2509 0.7491 0.7182  3 O 2.40-2.43
La10 0.7512 0.2537 0.6553  3 O 2.41-2.42
La11 0.2531 0.7490 0.8427  3 O 2.40-2.43
La12 0.7516 0.2543 0.7800  3 O 2.41-2.42
La13 0.2601 0.7467 0.9666  4 O 2.40-2.66
La14 0.7517 0.2581 0.9041  3 O 2.40-2.43
Mg1 0.5573 0.9588 0.1247  4 O 1.93-2.12
Mg2 0.5486 0.9701 0.2529  4 O 1.93-2.11
Mg3 0.9613 0.5497 0.0611  4 O 1.94-2.06
Mg4 0.9416 0.5781 0.1880  4 O 1.93-2.02
Ga1 0.5090 0.9944 0.9986  5 O 2.00-2.06
Ga2 0.4936 0.0029 0.4999  6 O 2.00-2.02
Ga3 0.4840 0.9990 0.3761  5 O 1.98-2.02
Ga4 0.0216 0.4701 0.3154  5 O 1.96-2.12
Ga5 0.5004 0.0006 0.6246  6 O 2.00-2.02
Ga6 0.9850 0.5053 0.4376  6 O 1.97-2.03
Ga7 0.9984 0.5012 0.5622  6 O 2.00-2.02
Ga8 0.5029 0.0042 0.8735  6 O 2.00-2.02
Ga9 0.5016 0.0017 0.7493  6 O 2.00-2.02
Ga10 0.0008 0.5015 0.6870  6 O 2.00-2.02
Ga11 0.0027 0.5022 0.8115  6 O 1.99-2.02
Ga12 0.0058 0.5049 0.9355  6 O 1.99-2.03
O1 0.3091 0.6832 0.0310  1 Mg 2.00, 1 Ga 2.06
O2 0.7220 0.2842 0.1022  2 Mg 2.03-2.06
O3 0.2951 0.6943 0.1640  2 Mg 1.99-2.12
O4 0.8323 0.7044 0.0195  1 Mg 1.94, 1 Ga 2.00
O5 0.2485 0.1760 0.2885  1 Mg 1.98, 1 Ga 2.03
O6 0.6866 0.8800 0.0803  2 Mg 1.93-1.99
O7 0.8044 0.2530 0.2268  2 Mg 1.97-2.16
O8 0.3065 0.6819 0.2834  1 Ga 1.99, 1 Mg 2.11
O9 0.8737 0.6475 0.1453  2 Mg 1.93-1.99
O10 0.2220 0.1802 0.4157  2 Ga 2.01-2.02
O11 0.6389 0.9135 0.2068  2 Mg 2.00-2.02
O12 0.1737 0.2612 0.4772  2 Ga 2.01-2.02
O13 0.6756 0.2980 0.3493  2 Ga 1.98-2.12
O14 0.3024 0.6815 0.4066  2 Ga 2.00-2.02
O15 0.8143 0.6698 0.2797  1 Mg 1.93, 1 Ga 1.96
O16 0.2458 0.1768 0.5406  2 Ga 2.01-2.02
O17 0.7358 0.8091 0.3375  2 Ga 2.00-2.10
O18 0.1823 0.2594 0.6020  2 Ga 2.00-2.01
O19 0.6710 0.3209 0.4710  2 Ga 2.01-2.02
O20 0.3137 0.6842 0.5305  2 Ga 2.01-2.02
O21 0.8067 0.7334 0.3986  2 Ga 1.97-2.02
O22 0.2508 0.1776 0.6651  2 Ga 2.02
O23 0.7373 0.8336 0.4592  2 Ga 2.00-2.03
O24 0.1825 0.2603 0.7268  2 Ga 2.00
O25 0.6820 0.3176 0.5950  2 Ga 2.02
O26 0.3176 0.6836 0.6554  2 Ga 2.02
O27 0.8145 0.7414 0.5226  2 Ga 2.00-2.02
O28 0.2519 0.1780 0.7897  2 Ga 2.02
O29 0.7482 0.8241 0.5844  2 Ga 2.01-2.02
O30 0.1863 0.2634 0.8509  2 Ga 2.00
O31 0.6835 0.3185 0.7197  2 Ga 2.02
O32 0.3190 0.6851 0.7799  2 Ga 2.02
O33 0.8189 0.7416 0.6475  2 Ga 2.00-2.01
O34 0.2578 0.1789 0.9139  2 Ga 2.01-2.02
O35 0.7500 0.8255 0.7091  2 Ga 2.01-2.02
O36 0.1963 0.2757 0.9745  2 Ga 2.01-2.03
O37 0.6876 0.3177 0.8443  2 Ga 2.01-2.02
O38 0.3165 0.6911 0.9040  2 Ga 2.01-2.02
O39 0.8197 0.7423 0.7721  2 Ga 1.99-2.01
O40 0.7505 0.8261 0.8336  2 Ga 2.00-2.02
O41 0.6999 0.3111 0.9698  2 Ga 2.02-2.05
O42 0.8206 0.7342 0.8965  2 Ga 1.99-2.01
O43 0.7392 0.8312 0.9573  2 Ga 2.01-2.03

---

First-principles (PBE) data for SrLa9MgGa9O29 after structural relaxation, as listed in the Materials Project database.

Properties
ΔE_f (eV per formula unit): -113.21
Symmetry: P1 (1)
Excess energy over the best structure of this formula in the dataset (meV/atom): 755
Calculated total energy (eV per atom): -6.36

Lattice parameters (Å, degrees): 5.5574 5.5838 23.0475 96.58 90.17 119.83
Last column: nearest neighbours and their distance in Å.
Element x y z (fractional)
Sr1 0.7640 0.2139 0.8459  1 O 2.19
La1 0.2464 0.3932 0.9545  1 O 2.07
La2 0.7500 0.7966 0.6514  1 O 2.09
La3 0.2923 0.0312 0.7440  1 O 1.99
La4 0.7496 0.3948 0.4484  1 O 2.06
La5 0.2488 0.6028 0.5530  1 O 2.11
La6 0.7475 0.9937 0.2492  1 O 2.06
La7 0.2484 0.2022 0.3526  1 O 2.10
La8 0.7359 0.5874 0.0510  1 O 2.04
La9 0.2478 0.8014 0.1522  1 O 2.10
Mg1 0.4699 0.5836 0.7972  1 O 1.53
Ga1 0.0295 0.8115 0.9051  1 O 1.65
Ga2 0.0007 0.3990 0.7014  2 O 1.63-1.72
Ga3 0.0000 0.9999 0.5005  2 O 1.70-1.73
Ga4 0.5016 0.2024 0.5981  2 O 1.65
Ga5 0.9994 0.5990 0.3003  2 O 1.71-1.73
Ga6 0.4986 0.7988 0.4006  2 O 1.65
Ga7 0.9989 0.1987 0.1009  2 O 1.71-1.74
Ga8 0.4979 0.3984 0.2008  2 O 1.65
Ga9 0.5046 0.0053 0.9990  2 O 1.64-1.65
O1 0.7310 0.3847 0.9338  1 Sr 2.19, 1 Ga 2.30
O2 0.6979 0.8308 0.9538  2 Ga 2.00-2.20
O3 0.7570 0.9721 0.7371  1 La 2.09, 1 Ga 2.33
O4 0.7290 0.4526 0.7583  1 Mg 2.08, 1 Ga 2.11
O5 0.1891 0.8159 0.9660  2 Ga 1.65
O6 0.7802 0.3629 0.6444  2 Ga 1.65-1.72
O7 0.2625 0.7657 0.8409  1 Ga 2.05, 1 Mg 2.08
O8 0.7544 0.5667 0.5327  1 La 2.06
O9 0.2382 0.2263 0.8689  1 La 2.07, 1 Ga 2.28
O10 0.7081 0.0291 0.5588  2 Ga 2.00-2.17
O11 0.2286 0.4237 0.7502  1 Mg 1.53, 1 Ga 1.63
O12 0.7977 0.9748 0.4405  2 Ga 1.65-1.73
O13 0.2940 0.3710 0.6378  1 Ga 1.99
O14 0.7507 0.1671 0.3331  1 La 2.06
O15 0.2582 0.8370 0.6636  1 La 1.99
O16 0.7045 0.6279 0.3585  2 Ga 2.01-2.18
O17 0.2041 0.0223 0.5583  2 Ga 1.65-1.70
O18 0.7980 0.5741 0.2402  2 Ga 1.65-1.73
O19 0.2972 0.9758 0.4400  2 Ga 1.99-2.21
O20 0.7474 0.7665 0.1339  1 La 2.04
O21 0.2521 0.4350 0.4665  1 La 2.11, 1 Ga 2.35
O22 0.7036 0.2291 0.1577  2 Ga 2.01-2.16
O23 0.2046 0.6262 0.3589  2 Ga 1.65-1.71
O24 0.7978 0.1682 0.0398  2 Ga 1.64-1.74
O25 0.2969 0.5748 0.2406  2 Ga 1.99-2.20
O26 0.2517 0.0335 0.2664  1 La 2.10, 1 Ga 2.35
O27 0.2025 0.2250 0.1598  2 Ga 1.65-1.71
O28 0.2951 0.1699 0.0430  2 Ga 2.02-2.18
O29 0.2593 0.6315 0.0668  1 La 2.10, 1 Ga 2.35